Entry 1:
Material: BiCNO
Method: DFT, GGA-PBE
State: relaxed

a b c (Å): 3.945 3.945 7.619
angles (deg): 90.00 90.00 90.00
Atoms (fractional coordinates):
C  0.500  0.000  0.548
C  0.000  0.500  0.452
Bi  0.000  0.500  0.836
Bi  0.500  0.000  0.164
N  0.000  0.500  0.296
N  0.500  0.000  0.704
O  0.000  0.000  0.000
O  0.500  0.500  0.000

Summary:
SG = No. 129
energy relative to the elements = -1.2 eV/f.u.



Entry 2:
Material: BS4N4F3
Method: DFT, GGA-PBE
State: relaxed

a b c (Å): 10.917 7.496 12.867
angles (deg): 59.23 90.00 90.00
Atoms (fractional coordinates):
N  0.040  0.239  0.832
N  0.438  0.709  0.086
N  0.062  0.603  0.823
N  0.698  0.638  0.853
N  0.438  0.603  0.323
N  0.062  0.709  0.586
N  0.562  0.397  0.677
N  0.460  0.239  0.332
N  0.302  0.362  0.147
N  0.540  0.761  0.668
N  0.198  0.362  0.647
N  0.562  0.291  0.914
N  0.960  0.761  0.168
N  0.802  0.638  0.353
N  0.938  0.291  0.414
N  0.938  0.397  0.177
S  0.048  0.771  0.686
S  0.656  0.414  0.950
S  0.573  0.644  0.591
S  0.927  0.644  0.091
S  0.344  0.586  0.050
S  0.427  0.356  0.409
S  0.844  0.414  0.450
S  0.548  0.229  0.814
S  0.666  0.818  0.718
S  0.073  0.356  0.909
S  0.952  0.229  0.314
S  0.334  0.182  0.282
S  0.834  0.818  0.218
S  0.452  0.771  0.186
S  0.166  0.182  0.782
S  0.156  0.586  0.550
F  0.410  0.901  0.760
F  0.910  0.099  0.740
F  0.090  0.901  0.260
F  0.339  0.904  0.588
F  0.152  0.596  0.271
F  0.652  0.404  0.229
F  0.839  0.096  0.912
F  0.848  0.404  0.729
F  0.590  0.099  0.240
F  0.348  0.596  0.771
F  0.661  0.096  0.412
F  0.161  0.904  0.088
B  0.903  0.209  0.801
B  0.403  0.791  0.699
B  0.097  0.791  0.199
B  0.597  0.209  0.301

Summary:
SG = No. 14
energy relative to the elements = -8.7 eV/f.u.



Entry 3:
Material: SiTc
Method: DFT, GGA-PBE
State: relaxed

a b c (Å): 4.785 4.785 4.785
angles (deg): 90.00 90.00 90.00
Atoms (fractional coordinates):
Tc  0.135  0.135  0.135
Tc  0.865  0.635  0.365
Tc  0.365  0.865  0.635
Tc  0.635  0.365  0.865
Si  0.155  0.345  0.655
Si  0.655  0.155  0.345
Si  0.845  0.845  0.845
Si  0.345  0.655  0.155

Summary:
SG = No. 198
energy relative to the elements = -1.0 eV/f.u.